Entry 1:
Material: Na6La6Nb2Si5S7O48
Method: DFT, GGA-PBE
State: relaxed

Results
* magnetic moment: 0.001 μB/f.u.
* final energy: -7.040 eV/atom

Structure (CIF):
```
data_Na6La6Nb2Si5S7O48
_cell_length_a 9.446
_cell_length_b 16.245
_cell_length_c 24.667
_cell_angle_alpha 90.31
_cell_angle_beta 90.11
_cell_angle_gamma 90.02
_symmetry_space_group_name_H-M 'P 1'
_symmetry_Int_Tables_number 1
_symmetry_space_group_name_Hall 'P 1'
loop_
_atom_site_label
_atom_site_type_symbol
_atom_site_fract_x
_atom_site_fract_y
_atom_site_fract_z
Na1 Na 0.000 0.000 0.000
Na2 Na 0.000 0.005 0.501
Na3 Na 0.001 0.338 0.830
Na4 Na 0.005 0.346 0.336
Na5 Na 0.178 0.156 0.580
Na6 Na 0.190 0.509 0.575
Na7 Na 0.309 0.009 0.086
Na8 Na 0.323 0.653 0.084
Na9 Na 0.500 0.502 0.495
Na10 Na 0.502 0.178 0.178
Na11 Na 0.502 0.506 0.005
Na12 Na 0.502 0.835 0.330
Na13 Na 0.506 0.832 0.825
Na14 Na 0.510 0.165 0.649
Na15 Na 0.633 0.329 0.581
Na16 Na 0.870 0.828 0.084
Na17 Na 0.993 0.662 0.155
Na18 Na 0.996 0.677 0.673
La1 La 0.000 0.669 0.809
La2 La 0.003 0.335 0.978
La3 La 0.007 0.006 0.152
La4 La 0.013 0.337 0.478
La5 La 0.017 0.335 0.684
La6 La 0.485 0.833 0.186
La7 La 0.493 0.830 0.981
La8 La 0.494 0.505 0.652
La9 La 0.501 0.836 0.476
La10 La 0.502 0.170 0.310
La11 La 0.502 0.500 0.146
La12 La 0.509 0.155 0.517
La13 La 0.512 0.169 0.815
La14 La 0.532 0.179 0.009
La15 La 0.982 0.668 0.501
La16 La 0.994 0.664 0.317
La17 La 0.996 0.652 0.019
La18 La 0.998 0.999 0.644
Nb1 Nb 0.007 0.013 0.338
Nb2 Nb 0.008 0.999 0.847
Nb3 Nb 0.020 0.342 0.191
Nb4 Nb 0.478 0.500 0.352
Nb5 Nb 0.483 0.837 0.685
Nb6 Nb 0.497 0.514 0.838
Si1 Si 0.145 0.478 0.085
Si2 Si 0.151 0.515 0.414
Si3 Si 0.155 0.861 0.747
Si4 Si 0.195 0.838 0.078
Si5 Si 0.199 0.498 0.748
Si6 Si 0.303 0.998 0.248
Si7 Si 0.308 0.337 0.580
Si8 Si 0.353 0.361 0.248
Si9 Si 0.357 0.980 0.584
Si10 Si 0.641 0.660 0.744
Si11 Si 0.648 0.688 0.082
Si12 Si 0.686 0.663 0.408
Si13 Si 0.815 0.163 0.909
Si14 Si 0.852 0.189 0.582
Si15 Si 0.862 0.160 0.244
S1 S 0.142 0.144 0.754
S2 S 0.142 0.833 0.409
S3 S 0.153 0.193 0.085
S4 S 0.187 0.158 0.410
S5 S 0.315 0.660 0.910
S6 S 0.334 0.018 0.911
S7 S 0.350 0.695 0.586
S8 S 0.360 0.331 0.909
S9 S 0.360 0.645 0.254
S10 S 0.643 0.329 0.412
S11 S 0.646 0.987 0.080
S12 S 0.648 0.361 0.753
S13 S 0.675 0.017 0.408
S14 S 0.707 0.993 0.749
S15 S 0.719 0.332 0.086
S16 S 0.781 0.830 0.587
S17 S 0.802 0.494 0.246
S18 S 0.827 0.517 0.908
S19 S 0.854 0.488 0.581
S20 S 0.856 0.860 0.252
S21 S 0.857 0.831 0.911
O1 O 0.069 0.224 0.759
O2 O 0.070 0.570 0.089
O3 O 0.073 0.916 0.401
O4 O 0.082 0.420 0.138
O5 O 0.083 0.796 0.460
O6 O 0.085 0.091 0.800
O7 O 0.086 0.918 0.080
O8 O 0.090 0.229 0.411
O9 O 0.092 0.108 0.087
O10 O 0.094 0.422 0.411
O11 O 0.094 0.903 0.695
O12 O 0.097 0.081 0.400
O13 O 0.097 0.569 0.364
O14 O 0.101 0.231 0.035
O15 O 0.101 0.753 0.071
O16 O 0.102 0.430 0.030
O17 O 0.107 0.769 0.759
O18 O 0.108 0.581 0.755
O19 O 0.109 0.922 0.801
O20 O 0.110 0.242 0.134
O21 O 0.113 0.778 0.363
O22 O 0.114 0.104 0.702
O23 O 0.116 0.412 0.758
O24 O 0.136 0.565 0.472
O25 O 0.170 0.002 0.297
O26 O 0.170 0.359 0.239
O27 O 0.173 0.011 0.902
O28 O 0.188 0.997 0.587
O29 O 0.194 0.689 0.588
O30 O 0.204 0.357 0.529
O31 O 0.205 0.341 0.914
O32 O 0.206 0.655 0.258
O33 O 0.211 0.324 0.634
O34 O 0.215 0.667 0.865
O35 O 0.222 0.003 0.189
O36 O 0.244 0.648 0.962
O37 O 0.260 0.145 0.462
O38 O 0.283 0.503 0.691
O39 O 0.288 0.166 0.365
O40 O 0.296 0.151 0.762
O41 O 0.296 0.826 0.132
O42 O 0.297 0.845 0.414
O43 O 0.299 0.857 0.027
O44 O 0.311 0.184 0.083
O45 O 0.314 0.496 0.086
O46 O 0.331 0.509 0.401
O47 O 0.333 0.502 0.799
O48 O 0.336 0.856 0.738
O49 O 0.354 0.064 0.962
O50 O 0.386 0.913 0.258
O51 O 0.390 0.275 0.863
O52 O 0.391 0.605 0.201
O53 O 0.392 0.064 0.865
O54 O 0.393 0.935 0.912
O55 O 0.394 0.081 0.254
O56 O 0.396 0.421 0.301
O57 O 0.398 0.268 0.258
O58 O 0.400 0.745 0.636
O59 O 0.400 0.929 0.530
O60 O 0.401 0.734 0.537
O61 O 0.403 0.252 0.573
O62 O 0.407 0.583 0.900
O63 O 0.408 0.400 0.194
O64 O 0.412 0.612 0.590
O65 O 0.412 0.732 0.910
O66 O 0.414 0.592 0.299
O67 O 0.418 0.417 0.581
O68 O 0.419 0.292 0.960
O69 O 0.419 0.919 0.638
O70 O 0.430 0.413 0.902
O71 O 0.433 0.071 0.588
O72 O 0.434 0.725 0.258
O73 O 0.555 0.749 0.737
O74 O 0.568 0.599 0.083
O75 O 0.571 0.069 0.075
O76 O 0.571 0.602 0.799
O77 O 0.573 0.413 0.402
O78 O 0.574 0.739 0.415
O79 O 0.577 0.280 0.759
O80 O 0.584 0.298 0.463
O81 O 0.585 0.732 0.027
O82 O 0.589 0.947 0.129
O83 O 0.592 0.578 0.390
O84 O 0.594 0.418 0.798
O85 O 0.604 0.393 0.700
O86 O 0.608 0.060 0.363
O87 O 0.608 0.063 0.758
O88 O 0.610 0.275 0.366
O89 O 0.613 0.933 0.413
O90 O 0.616 0.603 0.693
O91 O 0.616 0.938 0.030
O92 O 0.619 0.747 0.135
O93 O 0.619 0.915 0.745
O94 O 0.627 0.256 0.085
O95 O 0.628 0.406 0.087
O96 O 0.656 0.064 0.460
O97 O 0.670 0.509 0.898
O98 O 0.680 0.185 0.575
O99 O 0.683 0.828 0.635
O100 O 0.698 0.496 0.584
O101 O 0.699 0.176 0.257
O102 O 0.701 0.834 0.535
O103 O 0.701 0.856 0.257
O104 O 0.703 0.848 0.913
O105 O 0.705 0.173 0.859
O106 O 0.715 0.482 0.294
O107 O 0.720 0.504 0.196
O108 O 0.722 0.144 0.964
O109 O 0.777 0.643 0.463
O110 O 0.786 0.008 0.700
O111 O 0.794 0.679 0.358
O112 O 0.797 0.334 0.034
O113 O 0.797 0.344 0.414
O114 O 0.801 0.355 0.758
O115 O 0.802 0.996 0.082
O116 O 0.803 0.676 0.758
O117 O 0.805 0.985 0.797
O118 O 0.814 0.328 0.134
O119 O 0.823 0.685 0.076
O120 O 0.832 0.009 0.398
O121 O 0.845 0.564 0.960
O122 O 0.869 0.905 0.589
O123 O 0.872 0.755 0.587
O124 O 0.884 0.246 0.636
O125 O 0.884 0.439 0.532
O126 O 0.886 0.103 0.192
O127 O 0.889 0.433 0.913
O128 O 0.889 0.776 0.865
O129 O 0.894 0.415 0.239
O130 O 0.894 0.560 0.863
O131 O 0.897 0.893 0.199
O132 O 0.901 0.564 0.250
O133 O 0.909 0.918 0.297
O134 O 0.911 0.447 0.630
O135 O 0.912 0.078 0.890
O136 O 0.916 0.801 0.962
O137 O 0.921 0.233 0.526
O138 O 0.924 0.239 0.914
O139 O 0.925 0.780 0.258
O140 O 0.928 0.570 0.577
O141 O 0.929 0.914 0.900
O142 O 0.932 0.101 0.298
O143 O 0.934 0.100 0.583
O144 O 0.948 0.249 0.235
```

---

Entry 2:
Material: Na8La3NbSi5SO24
Method: DFT, GGA-PBE
State: relaxed

Results
* magnetic moment: 0.000 μB/f.u.
* final energy: -6.928 eV/atom

Structure (CIF):
```
data_Na8La3NbSi5SO24
_cell_length_a 9.656
_cell_length_b 9.667
_cell_length_c 23.381
_cell_angle_alpha 89.69
_cell_angle_beta 89.97
_cell_angle_gamma 60.05
_symmetry_space_group_name_H-M 'P 1'
_symmetry_Int_Tables_number 1
_symmetry_space_group_name_Hall 'P 1'
loop_
_atom_site_label
_atom_site_type_symbol
_atom_site_fract_x
_atom_site_fract_y
_atom_site_fract_z
Na1 Na 0.000 0.000 0.000
Na2 Na 0.001 0.644 0.495
Na3 Na 0.251 0.007 0.499
Na4 Na 0.255 0.388 0.999
Na5 Na 0.280 0.045 0.152
Na6 Na 0.290 0.673 0.418
Na7 Na 0.291 0.316 0.645
Na8 Na 0.306 0.676 0.914
Na9 Na 0.314 0.357 0.336
Na10 Na 0.340 0.957 0.819
Na11 Na 0.584 0.364 0.825
Na12 Na 0.604 0.696 0.330
Na13 Na 0.608 0.647 0.995
Na14 Na 0.613 0.388 0.494
Na15 Na 0.623 0.993 0.727
Na16 Na 0.638 0.012 0.238
Na17 Na 0.650 0.684 0.651
Na18 Na 0.665 0.307 0.159
Na19 Na 0.921 0.674 0.160
Na20 Na 0.928 0.036 0.645
Na21 Na 0.936 0.714 0.814
Na22 Na 0.945 0.982 0.324
Na23 Na 0.955 0.343 0.073
Na24 Na 0.957 0.343 0.570
La1 La 0.289 0.676 0.062
La2 La 0.291 0.678 0.560
La3 La 0.298 0.676 0.742
La4 La 0.622 0.004 0.895
La5 La 0.628 0.013 0.393
La6 La 0.942 0.355 0.931
La7 La 0.943 0.361 0.424
La8 La 0.947 0.353 0.720
La9 La 0.948 0.350 0.225
Nb1 Nb 0.290 0.663 0.247
Nb2 Nb 0.622 0.012 0.585
Nb3 Nb 0.623 0.009 0.090
Si1 Si 0.299 0.992 0.654
Si2 Si 0.302 0.361 0.152
Si3 Si 0.322 0.306 0.488
Si4 Si 0.323 0.016 0.992
Si5 Si 0.583 0.691 0.154
Si6 Si 0.600 0.351 0.654
Si7 Si 0.623 0.716 0.488
Si8 Si 0.624 0.301 0.991
Si9 Si 0.632 0.357 0.317
Si10 Si 0.640 0.654 0.823
Si11 Si 0.917 0.715 0.992
Si12 Si 0.919 0.016 0.489
Si13 Si 0.967 0.691 0.655
Si14 Si 0.968 0.655 0.317
Si15 Si 0.982 0.973 0.153
S1 S 0.259 0.350 0.823
S2 S 0.261 0.022 0.319
S3 S 0.961 0.034 0.823
O1 O 0.008 0.539 0.373
O2 O 0.041 0.723 0.714
O3 O 0.079 0.913 0.094
O4 O 0.089 0.653 0.602
O5 O 0.095 0.690 0.995
O6 O 0.097 0.860 0.494
O7 O 0.100 0.838 0.205
O8 O 0.104 0.871 0.822
O9 O 0.135 0.668 0.306
O10 O 0.153 0.305 0.494
O11 O 0.155 0.177 0.659
O12 O 0.156 0.187 0.998
O13 O 0.160 0.322 0.165
O14 O 0.163 0.104 0.370
O15 O 0.168 0.354 0.875
O16 O 0.178 0.336 0.771
O17 O 0.186 0.120 0.267
O18 O 0.255 0.912 0.601
O19 O 0.258 0.467 0.095
O20 O 0.266 0.501 0.821
O21 O 0.268 0.864 0.314
O22 O 0.301 0.484 0.493
O23 O 0.302 0.859 0.995
O24 O 0.315 0.483 0.204
O25 O 0.334 0.882 0.712
O26 O 0.408 0.234 0.428
O27 O 0.410 0.003 0.931
O28 O 0.424 0.211 0.823
O29 O 0.426 0.996 0.323
O30 O 0.445 0.184 0.541
O31 O 0.446 0.018 0.046
O32 O 0.449 0.706 0.206
O33 O 0.456 0.530 0.305
O34 O 0.462 0.667 0.822
O35 O 0.468 0.996 0.642
O36 O 0.469 0.480 0.994
O37 O 0.469 0.691 0.493
O38 O 0.478 0.195 0.150
O39 O 0.491 0.425 0.713
O40 O 0.520 0.476 0.602
O41 O 0.522 0.655 0.095
O42 O 0.584 0.864 0.151
O43 O 0.592 0.212 0.322
O44 O 0.607 0.178 0.643
O45 O 0.609 0.801 0.427
O46 O 0.610 0.230 0.930
O47 O 0.623 0.833 0.820
O48 O 0.625 0.837 0.541
O49 O 0.628 0.177 0.044
O50 O 0.710 0.396 0.374
O51 O 0.732 0.547 0.880
O52 O 0.747 0.320 0.262
O53 O 0.747 0.561 0.767
O54 O 0.764 0.544 0.164
O55 O 0.786 0.309 0.659
O56 O 0.791 0.835 0.046
O57 O 0.791 0.856 0.644
O58 O 0.795 0.548 0.495
O59 O 0.796 0.017 0.542
O60 O 0.796 0.297 0.997
O61 O 0.808 0.975 0.151
O62 O 0.813 0.023 0.823
O63 O 0.813 0.835 0.320
O64 O 0.845 0.804 0.932
O65 O 0.849 0.000 0.428
O66 O 0.913 0.547 0.998
O67 O 0.917 0.186 0.494
O68 O 0.932 0.542 0.657
O69 O 0.943 0.571 0.261
O70 O 0.953 0.152 0.164
O71 O 0.957 0.125 0.771
O72 O 0.972 0.117 0.874
```

---

Entry 3:
Material: Na2La2Nb2Si3S3O24
Method: DFT, GGA-PBE
State: relaxed

Results
* magnetic moment: 0.000 μB/f.u.
* final energy: -7.247 eV/atom

Structure (CIF):
```
data_Na2La2Nb2Si3S3O24
_cell_length_a 9.304
_cell_length_b 9.323
_cell_length_c 23.815
_cell_angle_alpha 87.45
_cell_angle_beta 90.00
_cell_angle_gamma 60.37
_symmetry_space_group_name_H-M 'P 1'
_symmetry_Int_Tables_number 1
_symmetry_space_group_name_Hall 'P 1'
loop_
_atom_site_label
_atom_site_type_symbol
_atom_site_fract_x
_atom_site_fract_y
_atom_site_fract_z
Na1 Na 0.000 0.000 0.000
Na2 Na 0.025 0.008 0.501
Na3 Na 0.304 0.361 0.667
Na4 Na 0.359 0.356 0.153
Na5 Na 0.639 0.695 0.324
Na6 Na 0.685 0.672 0.834
La1 La 0.007 0.037 0.639
La2 La 0.316 0.380 0.807
La3 La 0.339 0.373 0.304
La4 La 0.652 0.709 0.472
La5 La 0.666 0.706 0.971
La6 La 0.980 0.036 0.139
Nb1 Nb 0.307 0.394 0.521
Nb2 Nb 0.354 0.386 0.012
Nb3 Nb 0.656 0.690 0.170
Nb4 Nb 0.675 0.717 0.680
Nb5 Nb 0.982 0.054 0.853
Nb6 Nb 0.998 0.037 0.345
Si1 Si 0.046 0.671 0.908
Si2 Si 0.312 0.670 0.408
Si3 Si 0.366 0.695 0.073
Si4 Si 0.380 0.006 0.574
Si5 Si 0.633 0.362 0.907
Si6 Si 0.634 0.012 0.073
Si7 Si 0.713 0.345 0.241
Si8 Si 0.956 0.699 0.575
Si9 Si 0.975 0.340 0.740
S1 S 0.048 0.341 0.411
S2 S 0.301 0.009 0.245
S3 S 0.301 0.082 0.909
S4 S 0.317 0.747 0.744
S5 S 0.633 0.417 0.578
S6 S 0.650 0.079 0.409
S7 S 0.711 0.015 0.744
S8 S 0.963 0.757 0.250
S9 S 0.973 0.423 0.081
O1 O 0.000 0.843 0.580
O2 O 0.008 0.252 0.091
O3 O 0.044 0.178 0.408
O4 O 0.051 0.850 0.897
O5 O 0.095 0.584 0.258
O6 O 0.121 0.565 0.855
O7 O 0.123 0.360 0.359
O8 O 0.124 0.380 0.743
O9 O 0.125 0.434 0.086
O10 O 0.135 0.081 0.907
O11 O 0.135 0.855 0.398
O12 O 0.142 0.514 0.571
O13 O 0.152 0.326 0.462
O14 O 0.174 0.557 0.966
O15 O 0.182 0.840 0.082
O16 O 0.189 0.060 0.580
O17 O 0.203 0.997 0.297
O18 O 0.207 0.033 0.194
O19 O 0.220 0.820 0.691
O20 O 0.227 0.841 0.793
O21 O 0.291 0.178 0.958
O22 O 0.299 0.560 0.466
O23 O 0.316 0.154 0.856
O24 O 0.316 0.568 0.355
O25 O 0.331 0.149 0.252
O26 O 0.357 0.573 0.747
O27 O 0.371 0.511 0.071
O28 O 0.381 0.187 0.562
O29 O 0.432 0.908 0.913
O30 O 0.449 0.189 0.064
O31 O 0.452 0.709 0.018
O32 O 0.459 0.900 0.521
O33 O 0.460 0.710 0.409
O34 O 0.463 0.850 0.245
O35 O 0.464 0.421 0.574
O36 O 0.478 0.750 0.739
O37 O 0.496 0.668 0.131
O38 O 0.503 0.897 0.632
O39 O 0.525 0.383 0.246
O40 O 0.533 0.344 0.966
O41 O 0.533 0.361 0.853
O42 O 0.537 0.145 0.748
O43 O 0.554 0.154 0.356
O44 O 0.570 0.173 0.458
O45 O 0.620 0.519 0.626
O46 O 0.631 0.888 0.131
O47 O 0.657 0.481 0.524
O48 O 0.666 0.904 0.021
O49 O 0.679 0.503 0.910
O50 O 0.692 0.905 0.413
O51 O 0.708 0.530 0.235
O52 O 0.710 0.848 0.741
O53 O 0.759 0.242 0.586
O54 O 0.773 0.063 0.082
O55 O 0.782 0.036 0.692
O56 O 0.796 0.526 0.732
O57 O 0.800 0.766 0.249
O58 O 0.804 0.244 0.188
O59 O 0.814 0.176 0.902
O60 O 0.814 0.995 0.795
O61 O 0.817 0.077 0.402
O62 O 0.839 0.225 0.298
O63 O 0.853 0.681 0.632
O64 O 0.855 0.727 0.915
O65 O 0.859 0.530 0.130
O66 O 0.867 0.696 0.519
O67 O 0.877 0.477 0.415
O68 O 0.885 0.489 0.028
O69 O 0.967 0.225 0.798
O70 O 0.967 0.862 0.298
O71 O 0.979 0.243 0.687
O72 O 0.994 0.821 0.197
```